Entry 1:
The following is a DFT calculation (PBE) of an optimized crystal structure of MgU2As2O16.

Cell: 18.2988 7.2110 6.9061 Å, 90.00 99.01 90.00°
Space group C2/m (No. 12)
Symmetry-distinct sites (fractional):
Mg (0.0000, 0.0000, 0.0000) (multiplicity 2)
U (0.2407, 0.0000, 0.6331) (multiplicity 4)
As (0.2140, 0.5000, 0.8181) (multiplicity 4)
O (0.0892, 0.1715, 0.0381) (multiplicity 8)
O (0.1228, 0.5000, 0.8365) (multiplicity 4)
O (0.1419, 0.0000, 0.5532) (multiplicity 4)
O (0.1607, 0.5000, 0.2985) (multiplicity 4)
O (0.2298, 0.0000, 0.9567) (multiplicity 4)
O (0.2390, 0.3222, 0.6716) (multiplicity 8)

Summary:
theoretical density = 3.34 Mg/m³
formation energy = -1.740 eV per atom
E = -6.5814 eV per atom

Entry 2:
The following is a DFT calculation (PBE) of an optimized crystal structure of MgZn2As2O8.

Cell: 5.3527 8.5851 9.0298 Å, 90.00 119.76 90.00°
Space group P2_1/c (No. 14)
Symmetry-distinct sites (fractional):
Mg (0.0000, 0.0000, 0.0000) (multiplicity 2)
Zn (0.0183, 0.1391, 0.6117) (multiplicity 4)
As (0.3514, 0.6934, 0.3067) (multiplicity 4)
O (0.1767, 0.6283, 0.7451) (multiplicity 4)
O (0.2067, 0.5672, 0.1359) (multiplicity 4)
O (0.2731, 0.6370, 0.4604) (multiplicity 4)
O (0.2842, 0.1965, 0.1155) (multiplicity 4)

Summary:
theoretical density = 3.99 Mg/m³
formation energy = -2.015 eV per atom
E = -5.6704 eV per atom

Entry 3:
The following is a DFT calculation (PBE) of an optimized crystal structure of Mg4As6Rh7.

Cell: 8.1678 8.1678 8.1678 Å, 90.00 90.00 90.00°
Space group Im-3m (No. 229)
Symmetry-distinct sites (fractional):
Mg (0.2500, 0.2500, 0.2500) (multiplicity 8)
As (0.0000, 0.0000, 0.3140) (multiplicity 12)
Rh (0.0000, 0.0000, 0.0000) (multiplicity 2)
Rh (0.0000, 0.2500, 0.5000) (multiplicity 12)

Summary:
theoretical density = 7.72 Mg/m³
formation energy = -0.641 eV per atom
E = -5.6938 eV per atom

Entry 4:
The following is a DFT calculation (PBE) of an optimized crystal structure of MgAs4Rh6.

Cell: 7.3890 7.3890 3.6373 Å, 90.00 90.00 120.00°
Space group P-6m2 (No. 187)
Symmetry-distinct sites (fractional):
Mg (0.0000, 0.0000, 0.0000) (multiplicity 1)
As (0.1880, 0.3760, 0.5000) (multiplicity 3)
As (0.6667, 0.3333, 0.0000) (multiplicity 1)
Rh (0.0687, 0.5344, 0.0000) (multiplicity 3)
Rh (0.3843, 0.1921, 0.5000) (multiplicity 3)

Summary:
theoretical density = 9.09 Mg/m³
formation energy = -0.524 eV per atom
E = -6.3805 eV per atom

Entry 5:
The following is a DFT calculation (PBE) of an optimized crystal structure of MgSiAs2.

Cell: 5.9512 5.9512 10.8901 Å, 90.00 90.00 90.00°
Space group I-42d (No. 122)
Symmetry-distinct sites (fractional):
Mg (0.0000, 0.0000, 0.0000) (multiplicity 4)
Si (0.0000, 0.0000, 0.5000) (multiplicity 4)
As (0.2138, 0.7500, 0.6250) (multiplicity 8)

Summary:
piezoelectric modulus e_max = 0.14 C/m²
theoretical density = 3.48 Mg/m³
formation energy = -0.310 eV per atom
E = -4.3963 eV per atom

Entry 6:
The following is a DFT calculation (PBE) of an optimized crystal structure of Mg3Zn3As4.

Cell: 15.0051 4.2542 7.2527 Å, 90.00 117.83 90.00°
Space group Cm (No. 8)
Symmetry-distinct sites (fractional):
Mg (0.0000, 0.0000, 0.0000) (multiplicity 2)
Mg (0.0022, 0.5000, 0.5096) (multiplicity 2)
Mg (0.3519, 0.0000, 0.0230) (multiplicity 2)
Zn (0.1727, 0.5000, 0.0138) (multiplicity 2)
Zn (0.1835, 0.0000, 0.5174) (multiplicity 2)
Zn (0.3733, 0.5000, 0.5389) (multiplicity 2)
As (0.0669, 0.5000, 0.2318) (multiplicity 2)
As (0.0792, 0.0000, 0.7448) (multiplicity 2)
As (0.2937, 0.5000, 0.7805) (multiplicity 2)
As (0.2969, 0.0000, 0.3221) (multiplicity 2)

Summary:
theoretical density = 4.61 Mg/m³
formation energy = -0.241 eV per atom
E = -2.9622 eV per atom

Entry 7:
The following is a DFT calculation (PBE) of an optimized crystal structure of Mn5As4.

Cell: 3.4850 13.1311 11.8729 Å, 90.00 90.00 90.00°
Space group Cmc2_1 (No. 36)
Symmetry-distinct sites (fractional):
Mn (0.0000, 0.0232, 0.0000) (multiplicity 4)
Mn (0.0000, 0.1687, 0.4250) (multiplicity 4)
Mn (0.0000, 0.2222, 0.1138) (multiplicity 4)
Mn (0.0000, 0.3712, 0.2779) (multiplicity 4)
Mn (0.0000, 0.4404, 0.6678) (multiplicity 4)
As (0.0000, 0.0102, 0.2982) (multiplicity 4)
As (0.0000, 0.2705, 0.7693) (multiplicity 4)
As (0.0000, 0.3449, 0.4874) (multiplicity 4)
As (0.0000, 0.3998, 0.0625) (multiplicity 4)

Summary:
theoretical density = 7.02 Mg/m³
formation energy = 0.026 eV per atom
E = -7.1352 eV per atom

Entry 8:
The following is a DFT calculation (PBE) of an optimized crystal structure of Mn4As3.

Cell: 13.0099 3.5349 9.3996 Å, 90.00 103.85 90.00°
Space group C2/m (No. 12)
Symmetry-distinct sites (fractional):
Mn (0.0000, 0.0000, 0.0000) (multiplicity 2)
Mn (0.0000, 0.0000, 0.5000) (multiplicity 2)
Mn (0.0678, 0.5000, 0.2124) (multiplicity 4)
Mn (0.1569, 0.5000, 0.9502) (multiplicity 4)
Mn (0.2172, 0.0000, 0.6660) (multiplicity 4)
As (0.0625, 0.0000, 0.7733) (multiplicity 4)
As (0.1384, 0.5000, 0.4792) (multiplicity 4)
As (0.1865, 0.0000, 0.1534) (multiplicity 4)

Summary:
theoretical density = 7.03 Mg/m³
formation energy = -0.177 eV per atom
E = -7.4094 eV per atom

Q: Number 2 is which compound?
A: MgZn2As2O8